Compound: Al2CoIr
Source: Materials Project
Functional: GGA-PBE
Structure: optimized geometry

Summary:
- calculated total energy (eV/atom) = -6.65
- symmetry = No. 225

a = 5.9042 Å, b = 5.9042 Å, c = 5.9042 Å
α = 90.00°, β = 90.00°, γ = 90.00°
Closest atoms and distances in Å follow each position.
Sites, in units of the cell vectors:
Al 0.2500 0.2500 0.2500  4 Co 2.56, 4 Ir 2.56
Al 0.2500 0.2500 0.7500  4 Co 2.56, 4 Ir 2.56
Al 0.2500 0.7500 0.2500  4 Co 2.56, 4 Ir 2.56
Al 0.2500 0.7500 0.7500  4 Co 2.56, 4 Ir 2.56
Al 0.7500 0.2500 0.2500  4 Co 2.56, 4 Ir 2.56
Al 0.7500 0.2500 0.7500  4 Co 2.56, 4 Ir 2.56
Al 0.7500 0.7500 0.2500  4 Co 2.56, 4 Ir 2.56
Al 0.7500 0.7500 0.7500  4 Ir 2.56, 4 Co 2.56
Co 0.0000 0.0000 0.0000  8 Al 2.56
Co 0.0000 0.5000 0.5000  8 Al 2.56
Co 0.5000 0.0000 0.5000  8 Al 2.56
Co 0.5000 0.5000 0.0000  8 Al 2.56
Ir 0.0000 0.0000 0.5000  8 Al 2.56
Ir 0.0000 0.5000 0.0000  8 Al 2.56
Ir 0.5000 0.0000 0.0000  8 Al 2.56
Ir 0.5000 0.5000 0.5000  8 Al 2.56

Compound: LaAlCo4
Source: Materials Project
Functional: GGA-PBE
Structure: optimized geometry

Summary:
- calculated total energy (eV/atom) = -6.36
- symmetry = No. 187

a = 5.2317 Å, b = 5.2317 Å, c = 3.8366 Å
α = 90.00°, β = 90.00°, γ = 120.00°
Closest atoms and distances in Å follow each position.
Sites, in units of the cell vectors:
La 0.0000 0.0000 0.0000  15 Co 3.02-3.24, 3 Al 3.02
Al 0.3333 0.6667 0.0000  6 Co 2.46
Co 0.5038 0.0076 0.5000  6 Co 2.42-2.68, 2 Al 2.46
Co 0.5038 0.4962 0.5000  6 Co 2.42-2.68, 2 Al 2.46
Co 0.6667 0.3333 0.0000  6 Co 2.42
Co 0.9924 0.4962 0.5000  6 Co 2.42-2.68, 2 Al 2.46

Compound: LaAl4Co
Source: Materials Project
Functional: GGA-PBE
Structure: optimized geometry

Summary:
- calculated total energy (eV/atom) = -5.02
- symmetry = No. 51

a = 7.7047 Å, b = 4.0625 Å, c = 7.0048 Å
α = 90.00°, β = 90.00°, γ = 90.00°
Closest atoms and distances in Å follow each position.
Sites, in units of the cell vectors:
La 0.2500 0.0000 0.1128  1 Co 3.02, 12 Al 3.15-3.33
La 0.7500 0.0000 0.8872  1 Co 3.02, 12 Al 3.15-3.33
Al 0.0000 0.0000 0.5000  2 Co 2.31
Al 0.0712 0.5000 0.7917  2 Co 2.57, 2 Al 2.73-2.76
Al 0.2500 0.5000 0.4557  2 Co 2.57, 6 Al 2.73-2.82
Al 0.4288 0.5000 0.7917  2 Co 2.57, 2 Al 2.73-2.76
Al 0.5000 0.0000 0.5000  2 Co 2.31
Al 0.5712 0.5000 0.2083  2 Co 2.57, 2 Al 2.73-2.76
Al 0.7500 0.5000 0.5443  2 Co 2.57, 6 Al 2.73-2.82
Al 0.9288 0.5000 0.2083  2 Co 2.57, 2 Al 2.73-2.76
Co 0.2500 0.0000 0.6813  8 Al 2.31-2.57
Co 0.7500 0.0000 0.3187  8 Al 2.31-2.57

Compound: La3AlCoS7
Source: Materials Project
Functional: GGA-PBE
Structure: optimized geometry

Summary:
- calculated total energy (eV/atom) = -6.20
- E (MP2020) (eV/atom) = -6.492
- symmetry = No. 173

a = 10.1582 Å, b = 10.1582 Å, c = 5.9844 Å
α = 90.00°, β = 90.00°, γ = 120.00°
Closest atoms and distances in Å follow each position.
Sites, in units of the cell vectors:
La 0.1401 0.3710 0.0000  7 S 2.87-3.05
La 0.2309 0.8599 0.0000  7 S 2.87-3.05
La 0.3710 0.2309 0.5000  7 S 2.87-3.05
La 0.6290 0.7691 0.0000  7 S 2.87-3.05
La 0.7691 0.1401 0.5000  7 S 2.87-3.05
La 0.8599 0.6290 0.5000  7 S 2.87-3.05
Al 0.3333 0.6667 0.4207  4 S 2.21-2.25
Al 0.6667 0.3333 0.9207  4 S 2.21-2.25
Co 0.0000 0.0000 0.2844  6 S 2.43-2.49
Co 0.0000 0.0000 0.7844  6 S 2.43-2.49
S 0.0841 0.2200 0.5420  2 Co 2.43-2.49
S 0.0995 0.5811 0.2770  1 Al 2.25
S 0.1359 0.9159 0.5420  2 Co 2.43-2.49
S 0.2200 0.1359 0.0420  2 Co 2.43-2.49
S 0.3333 0.6667 0.7903  1 Al 2.21
S 0.4189 0.5184 0.2770  1 Al 2.25
S 0.4816 0.9005 0.2770  1 Al 2.25
S 0.5184 0.0995 0.7770  1 Al 2.25
S 0.5811 0.4816 0.7770  1 Al 2.25
S 0.6667 0.3333 0.2903  1 Al 2.21
S 0.7800 0.8641 0.5420  2 Co 2.43-2.49
S 0.8641 0.0841 0.0420  2 Co 2.43-2.49
S 0.9005 0.4189 0.7770  1 Al 2.25
S 0.9159 0.7800 0.0420  2 Co 2.43-2.49

Compound: Lu2AlCo3
Source: Materials Project
Functional: GGA-PBE
Structure: optimized geometry

Summary:
- calculated total energy (eV/atom) = -6.07
- symmetry = No. 166

a = 4.8975 Å, b = 4.8975 Å, c = 4.8975 Å
α = 64.80°, β = 64.80°, γ = 64.80°
Closest atoms and distances in Å follow each position.
Sites, in units of the cell vectors:
Lu 0.1287 0.1287 0.1287  9 Co 2.81-3.02, 1 Lu 2.97, 3 Al 3.06
Lu 0.8713 0.8713 0.8713  9 Co 2.81-3.02, 1 Lu 2.97, 3 Al 3.06
Al 0.5000 0.5000 0.5000  6 Co 2.45
Co 0.0000 0.5000 0.5000  2 Al 2.45, 4 Co 2.62
Co 0.5000 0.0000 0.5000  2 Al 2.45, 4 Co 2.62
Co 0.5000 0.5000 0.0000  2 Al 2.45, 4 Co 2.62

Compound: LuAlCo
Source: Materials Project
Functional: GGA-PBE
Structure: optimized geometry

Summary:
- calculated total energy (eV/atom) = -5.56
- symmetry = No. 38

a = 8.3308 Å, b = 5.2541 Å, c = 5.2541 Å
α = 60.94°, β = 90.00°, γ = 90.00°
Closest atoms and distances in Å follow each position.
Sites, in units of the cell vectors:
Lu 0.1752 0.0000 0.0000  4 Lu 2.92-3.22, 7 Co 2.97-3.08, 5 Al 2.98-3.13
Lu 0.2970 0.3370 0.3370  5 Co 2.85-3.16, 7 Al 3.10-3.14
Lu 0.7030 0.3370 0.3370  5 Co 2.85-3.16, 7 Al 3.10-3.14
Lu 0.8248 0.0000 0.0000  4 Lu 2.92-3.22, 7 Co 2.97-3.08, 5 Al 2.98-3.13
Al 0.2288 0.6747 0.6747  4 Co 2.50-2.70, 2 Al 2.76
Al 0.5000 0.3302 0.8363  2 Co 2.59-2.67, 4 Al 2.63-2.76
Al 0.5000 0.8363 0.3302  2 Co 2.59-2.67, 4 Al 2.63-2.76
Al 0.7712 0.6747 0.6747  4 Co 2.50-2.70, 2 Al 2.76
Co 0.0000 0.0274 0.4952  2 Co 2.46-2.49, 2 Al 2.50
Co 0.0000 0.4952 0.0274  2 Co 2.46-2.49, 2 Al 2.50
Co 0.0000 0.4955 0.4955  2 Co 2.46, 2 Al 2.50
Co 0.5000 0.8371 0.8371  6 Al 2.59-2.70

Compound: Lu2Al3Co
Source: Materials Project
Functional: GGA-PBE
Structure: optimized geometry

Summary:
- calculated total energy (eV/atom) = -5.07
- symmetry = No. 194

a = 5.4398 Å, b = 5.4398 Å, c = 8.4886 Å
α = 90.00°, β = 90.00°, γ = 120.00°
Closest atoms and distances in Å follow each position.
Sites, in units of the cell vectors:
Lu 0.3333 0.6667 0.0555  9 Al 3.05-3.18, 3 Co 3.18, 4 Lu 3.28-3.30
Lu 0.3333 0.6667 0.4445  9 Al 3.05-3.18, 3 Co 3.18, 4 Lu 3.28-3.30
Lu 0.6667 0.3333 0.5555  9 Al 3.05-3.18, 3 Co 3.18, 4 Lu 3.28-3.30
Lu 0.6667 0.3333 0.9445  9 Al 3.05-3.18, 3 Co 3.18, 4 Lu 3.28-3.30
Al 0.1626 0.3251 0.7500  2 Co 2.62, 4 Al 2.65-2.79
Al 0.1626 0.8374 0.7500  2 Co 2.62, 4 Al 2.65-2.79
Al 0.3251 0.1626 0.2500  2 Co 2.62, 4 Al 2.65-2.79
Al 0.6749 0.8374 0.7500  2 Co 2.62, 4 Al 2.65-2.79
Al 0.8374 0.1626 0.2500  2 Co 2.62, 4 Al 2.65-2.79
Al 0.8374 0.6749 0.2500  2 Co 2.62, 4 Al 2.65-2.79
Co 0.0000 0.0000 0.0000  6 Al 2.62
Co 0.0000 0.0000 0.5000  6 Al 2.62

Compound: Mg14AlCo
Source: Materials Project
Functional: GGA-PBE
Structure: optimized geometry

Summary:
- calculated total energy (eV/atom) = -2.02
- symmetry = No. 187

a = 6.2632 Å, b = 6.2632 Å, c = 9.8416 Å
α = 90.00°, β = 90.00°, γ = 120.00°
Closest atoms and distances in Å follow each position.
Sites, in units of the cell vectors:
Mg 0.0000 0.0000 0.2478  12 Mg 3.04-3.14
Mg 0.0000 0.0000 0.7522  12 Mg 3.04-3.14
Mg 0.0166 0.5083 0.2604  1 Co 2.92, 8 Mg 2.98-3.16, 1 Al 3.09
Mg 0.0166 0.5083 0.7396  1 Co 2.92, 8 Mg 2.98-3.16, 1 Al 3.09
Mg 0.3296 0.1648 0.5000  10 Mg 3.01-3.17, 2 Co 3.13
Mg 0.3348 0.1674 0.0000  10 Mg 3.04-3.16, 2 Al 3.13
Mg 0.4917 0.5083 0.2604  1 Co 2.92, 8 Mg 2.98-3.16, 1 Al 3.09
Mg 0.4917 0.5083 0.7396  1 Co 2.92, 8 Mg 2.98-3.16, 1 Al 3.09
Mg 0.4917 0.9834 0.2604  1 Co 2.92, 8 Mg 2.98-3.16, 1 Al 3.09
Mg 0.4917 0.9834 0.7396  1 Co 2.92, 8 Mg 2.98-3.16, 1 Al 3.09
Mg 0.8326 0.1674 0.0000  10 Mg 3.04-3.16, 2 Al 3.13
Mg 0.8326 0.6652 0.0000  10 Mg 3.04-3.16, 2 Al 3.13
Mg 0.8352 0.1648 0.5000  10 Mg 3.01-3.17, 2 Co 3.13
Mg 0.8352 0.6704 0.5000  10 Mg 3.01-3.17, 2 Co 3.13
Al 0.3333 0.6667 0.0000  12 Mg 3.09-3.13
Co 0.3333 0.6667 0.5000  12 Mg 2.92-3.13

Compound: Mg16Al12Co
Source: Materials Project
Functional: GGA-PBE
Structure: optimized geometry

Summary:
- calculated total energy (eV/atom) = -2.69
- symmetry = No. 160

a = 9.0100 Å, b = 9.0100 Å, c = 9.0100 Å
α = 109.02°, β = 109.02°, γ = 109.02°
Closest atoms and distances in Å follow each position.
Sites, in units of the cell vectors:
Mg 0.0000 0.0000 0.0000  1 Co 2.54
Mg 0.2639 0.6712 0.6712  7 Mg 2.98-3.09, 5 Al 3.00-3.11
Mg 0.3076 0.5865 0.9836  5 Al 2.90-3.10, 5 Mg 3.03-3.19
Mg 0.3076 0.9836 0.5865  5 Al 2.90-3.10, 5 Mg 3.03-3.19
Mg 0.3394 0.9877 0.9877  4 Mg 2.98-3.13, 6 Al 3.04-3.17
Mg 0.4174 0.4174 0.6846  5 Al 2.91-3.15, 1 Co 3.02, 4 Mg 3.05-3.26
Mg 0.4174 0.6846 0.4174  5 Al 2.91-3.15, 1 Co 3.02, 4 Mg 3.05-3.26
Mg 0.5865 0.3076 0.9836  5 Al 2.90-3.10, 5 Mg 3.03-3.19
Mg 0.5865 0.9836 0.3076  5 Al 2.90-3.10, 5 Mg 3.03-3.19
Mg 0.6712 0.2639 0.6712  7 Mg 2.98-3.09, 5 Al 3.00-3.11
Mg 0.6712 0.6712 0.2639  7 Mg 2.98-3.09, 5 Al 3.00-3.11
Mg 0.6846 0.4174 0.4174  5 Al 2.91-3.15, 1 Co 3.02, 4 Mg 3.05-3.26
Mg 0.9836 0.3076 0.5865  5 Al 2.90-3.10, 5 Mg 3.03-3.19
Mg 0.9836 0.5865 0.3076  5 Al 2.90-3.10, 5 Mg 3.03-3.19
Mg 0.9877 0.3394 0.9877  4 Mg 2.98-3.13, 6 Al 3.04-3.17
Mg 0.9877 0.9877 0.3394  4 Mg 2.98-3.13, 6 Al 3.04-3.17
Al 0.1516 0.3413 0.3413  3 Al 2.68-2.78, 2 Mg 2.91
Al 0.1786 0.1786 0.7932  3 Al 2.68-2.80, 2 Mg 2.92
Al 0.1786 0.7932 0.1786  3 Al 2.68-2.80, 2 Mg 2.92
Al 0.3413 0.1516 0.3413  3 Al 2.68-2.78, 2 Mg 2.91
Al 0.3413 0.3413 0.1516  3 Al 2.68-2.78, 2 Mg 2.91
Al 0.6250 0.8045 0.9819  3 Al 2.60-2.80, 1 Co 2.72, 1 Mg 2.90
Al 0.6250 0.9819 0.8045  3 Al 2.60-2.80, 1 Co 2.72, 1 Mg 2.90
Al 0.7932 0.1786 0.1786  3 Al 2.68-2.80, 2 Mg 2.92
Al 0.8045 0.6250 0.9819  3 Al 2.60-2.80, 1 Co 2.72, 1 Mg 2.90
Al 0.8045 0.9819 0.6250  3 Al 2.60-2.80, 1 Co 2.72, 1 Mg 2.90
Al 0.9819 0.6250 0.8045  3 Al 2.60-2.80, 1 Co 2.72, 1 Mg 2.90
Al 0.9819 0.8045 0.6250  3 Al 2.60-2.80, 1 Co 2.72, 1 Mg 2.90
Co 0.7239 0.7239 0.7239  1 Mg 2.54, 6 Al 2.72

Compound: Mg14AlCo
Source: Materials Project
Functional: GGA-PBE
Structure: optimized geometry

Summary:
- calculated total energy (eV/atom) = -2.01
- symmetry = No. 38

a = 9.9179 Å, b = 6.2280 Å, c = 6.2280 Å
α = 59.91°, β = 90.00°, γ = 90.00°
Closest atoms and distances in Å follow each position.
Sites, in units of the cell vectors:
Mg 0.0000 0.0000 0.0000  12 Mg 3.10-3.19
Mg 0.0000 0.0044 0.4993  12 Mg 3.06-3.24
Mg 0.0000 0.4981 0.4981  12 Mg 3.06-3.22
Mg 0.0000 0.4993 0.0044  12 Mg 3.06-3.24
Mg 0.2484 0.6661 0.6661  1 Al 3.03, 11 Mg 3.05-3.15
Mg 0.2602 0.1620 0.1620  1 Co 2.93, 11 Mg 2.98-3.22
Mg 0.2699 0.1646 0.6778  1 Co 2.88, 1 Al 2.93, 8 Mg 2.98-3.22
Mg 0.2699 0.6778 0.1646  1 Co 2.88, 1 Al 2.93, 8 Mg 2.98-3.22
Mg 0.5000 0.4961 0.9920  8 Mg 2.98-3.14, 2 Al 3.00-3.23, 2 Co 3.04-3.19
Mg 0.5000 0.9920 0.4961  8 Mg 2.98-3.14, 2 Al 3.00-3.23, 2 Co 3.04-3.19
Mg 0.7301 0.1646 0.6778  1 Co 2.88, 1 Al 2.93, 8 Mg 2.98-3.22
Mg 0.7301 0.6778 0.1646  1 Co 2.88, 1 Al 2.93, 8 Mg 2.98-3.22
Mg 0.7398 0.1620 0.1620  1 Co 2.93, 11 Mg 2.98-3.22
Mg 0.7516 0.6661 0.6661  1 Al 3.03, 11 Mg 3.05-3.15
Al 0.5000 0.5062 0.5062  10 Mg 2.93-3.23, 2 Co 3.11
Co 0.5000 0.0032 0.0032  10 Mg 2.88-3.19, 2 Al 3.11

Compound: MnAlCo2
Source: Materials Project
Functional: GGA-PBE
Structure: optimized geometry

Summary:
- calculated total energy (eV/atom) = -7.15
- symmetry = No. 225

a = 5.7008 Å, b = 5.7008 Å, c = 5.7008 Å
α = 90.00°, β = 90.00°, γ = 90.00°
Closest atoms and distances in Å follow each position.
Sites, in units of the cell vectors:
Mn 0.0000 0.0000 0.0000  8 Co 2.47
Mn 0.0000 0.5000 0.5000  8 Co 2.47
Mn 0.5000 0.0000 0.5000  8 Co 2.47
Mn 0.5000 0.5000 0.0000  8 Co 2.47
Al 0.0000 0.0000 0.5000  8 Co 2.47
Al 0.0000 0.5000 0.0000  8 Co 2.47
Al 0.5000 0.0000 0.0000  8 Co 2.47
Al 0.5000 0.5000 0.5000  8 Co 2.47
Co 0.2500 0.2500 0.2500  4 Mn 2.47, 4 Al 2.47
Co 0.2500 0.2500 0.7500  4 Mn 2.47, 4 Al 2.47
Co 0.2500 0.7500 0.2500  4 Mn 2.47, 4 Al 2.47
Co 0.2500 0.7500 0.7500  4 Mn 2.47, 4 Al 2.47
Co 0.7500 0.2500 0.2500  4 Mn 2.47, 4 Al 2.47
Co 0.7500 0.2500 0.7500  4 Mn 2.47, 4 Al 2.47
Co 0.7500 0.7500 0.2500  4 Mn 2.47, 4 Al 2.47
Co 0.7500 0.7500 0.7500  4 Al 2.47, 4 Mn 2.47

Compound: Mn2AlCo
Source: Materials Project
Functional: GGA-PBE
Structure: optimized geometry

Summary:
- calculated total energy (eV/atom) = -7.57
- symmetry = No. 216

a = 5.7423 Å, b = 5.7423 Å, c = 5.7423 Å
α = 90.00°, β = 90.00°, γ = 90.00°
Closest atoms and distances in Å follow each position.
Sites, in units of the cell vectors:
Mn 0.0000 0.0000 0.0000  4 Mn 2.49, 4 Al 2.49
Mn 0.0000 0.5000 0.5000  4 Mn 2.49, 4 Al 2.49
Mn 0.2500 0.2500 0.2500  4 Mn 2.49, 4 Co 2.49
Mn 0.2500 0.7500 0.7500  4 Mn 2.49, 4 Co 2.49
Mn 0.5000 0.0000 0.5000  4 Mn 2.49, 4 Al 2.49
Mn 0.5000 0.5000 0.0000  4 Mn 2.49, 4 Al 2.49
Mn 0.7500 0.2500 0.7500  4 Mn 2.49, 4 Co 2.49
Mn 0.7500 0.7500 0.2500  4 Mn 2.49, 4 Co 2.49
Al 0.2500 0.2500 0.7500  4 Mn 2.49, 4 Co 2.49
Al 0.2500 0.7500 0.2500  4 Mn 2.49, 4 Co 2.49
Al 0.7500 0.2500 0.2500  4 Mn 2.49, 4 Co 2.49
Al 0.7500 0.7500 0.7500  4 Mn 2.49, 4 Co 2.49
Co 0.0000 0.0000 0.5000  4 Mn 2.49, 4 Al 2.49
Co 0.0000 0.5000 0.0000  4 Mn 2.49, 4 Al 2.49
Co 0.5000 0.0000 0.0000  4 Mn 2.49, 4 Al 2.49
Co 0.5000 0.5000 0.5000  4 Mn 2.49, 4 Al 2.49

V per entry: 12.9 15.2 18.3 22.3 15.3 16.8 18.1 20.9 19.7 20.8 11.6 11.8 A^3/atom